{
  "formula": "Li3Cr4P9O32",
  "functional": "PBE with a Hubbard U",
  "state": "relaxed",
  "lattice_angstrom": [[-3.4394, 7.5260, 11.0069], [-13.3321, -1.7530, -2.9674], [-0.1002, -5.1794, 3.5101]],
  "species": ["O", "O", "O", "Cr", "O", "P", "O", "O", "P", "O", "O", "O", "O", "O", "P", "O", "O", "O", "O", "P", "O", "O", "O", "O", "Cr", "O", "P", "O", "Cr", "O", "O", "O", "Li", "O", "O", "O", "Li", "O", "O", "O", "Li", "P", "P", "O", "O", "O", "O", "O", "P", "P", "O", "P", "Cr", "O", "O", "O", "O", "P", "P", "O", "Cr", "O", "P", "P", "O", "Li", "Cr", "O", "Li", "O", "Cr", "O", "O", "O", "O", "O", "O", "O", "O", "O", "O", "Li", "O", "O", "O", "O", "P", "O", "O", "Cr", "O", "P", "P", "O", "O", "P"],
  "fractional_positions": [[0.0057, 0.7501, 0.5716], [0.1659, 0.3410, 0.1227], [0.3120, 0.3935, 0.4273], [0.1950, 0.8797, 0.3769], [0.7764, 0.4963, 0.6674], [0.8925, 0.7523, 0.1334], [0.3663, 0.6798, 0.1803], [0.3202, 0.3663, 0.8197], [0.1075, 0.2477, 0.1334], [0.0872, 0.5571, 0.9052], [0.0629, 0.9374, 0.3472], [0.9943, 0.2499, 0.5716], [0.4128, 0.0571, 0.5948], [0.1065, 0.1880, 0.9273], [0.3925, 0.7477, 0.3666], [0.8935, 0.8120, 0.9273], [0.6659, 0.1590, 0.3773], [0.1798, 0.8663, 0.6803], [0.2764, 0.0037, 0.8326], [0.4413, 0.1960, 0.1097], [0.6337, 0.3202, 0.1803], [0.7566, 0.3402, 0.8603], [0.1880, 0.8935, 0.0727], [0.8202, 0.1337, 0.6803], [0.8050, 0.1203, 0.3769], [0.7236, 0.9963, 0.8326], [0.2523, 0.3925, 0.6334], [0.1598, 0.7434, 0.3603], [0.8797, 0.8050, 0.6231], [0.2501, 0.5057, 0.0716], [0.8410, 0.6659, 0.6227], [0.3341, 0.8410, 0.3773], [0.0000, 0.5000, 0.6458], [0.9963, 0.2764, 0.1674], [0.8341, 0.6590, 0.1227], [0.5037, 0.7764, 0.3326], [0.5000, 0.0000, 0.8542], [0.2566, 0.1598, 0.6397], [0.1337, 0.1798, 0.3197], [0.7501, 0.9943, 0.4284], [0.5000, 0.5000, 0.5000], [0.7477, 0.6075, 0.6334], [0.2477, 0.8925, 0.8666], [0.2434, 0.6598, 0.8603], [0.5057, 0.7499, 0.9284], [0.6590, 0.1659, 0.8773], [0.4963, 0.2236, 0.3326], [0.6798, 0.6337, 0.8197], [0.8040, 0.4413, 0.8903], [0.0587, 0.6960, 0.3903], [0.5571, 0.9128, 0.0948], [0.6075, 0.2523, 0.3666], [0.3050, 0.3797, 0.1231], [0.0571, 0.5872, 0.4052], [0.5629, 0.5626, 0.1528], [0.3935, 0.6880, 0.5727], [0.8663, 0.8202, 0.3197], [0.0000, 0.0000, 0.5000], [0.9413, 0.3040, 0.3903], [0.8402, 0.2566, 0.3603], [0.6950, 0.6203, 0.1231], [0.4429, 0.0872, 0.0948], [0.5000, 0.5000, 0.0000], [0.3040, 0.0587, 0.6097], [0.7499, 0.4943, 0.0716], [0.5000, 0.0000, 0.3542], [0.3797, 0.6950, 0.8769], [0.4374, 0.5629, 0.8472], [0.0000, 0.0000, 0.0000], [0.2499, 0.0057, 0.4284], [0.1203, 0.1950, 0.6231], [0.0626, 0.0629, 0.6528], [0.5872, 0.9429, 0.5948], [0.6065, 0.3120, 0.5727], [0.3410, 0.8341, 0.8773], [0.3402, 0.2434, 0.1397], [0.7434, 0.8402, 0.6397], [0.0037, 0.7236, 0.1674], [0.6880, 0.6065, 0.4273], [0.4943, 0.2501, 0.9284], [0.5626, 0.4371, 0.8472], [0.0000, 0.5000, 0.1458], [0.1590, 0.3341, 0.6227], [0.9128, 0.4429, 0.9052], [0.9371, 0.0626, 0.3472], [0.4371, 0.4374, 0.1528], [0.5587, 0.8040, 0.1097], [0.9429, 0.4128, 0.4052], [0.2236, 0.5037, 0.6674], [0.6203, 0.3050, 0.8769], [0.9374, 0.9371, 0.6528], [0.6960, 0.9413, 0.6097], [0.7523, 0.1075, 0.8666], [0.8120, 0.1065, 0.0727], [0.6598, 0.7566, 0.1397], [0.1960, 0.5587, 0.8903]],
  "sg": "P-42_1c (114)",
  "ef_ev_per_atom": -2.4770
}

---

{
  "formula": "Li2FeSnO4",
  "functional": "PBE with a Hubbard U",
  "state": "relaxed",
  "lattice_angstrom": [[0.5304, 3.3916, 5.1193], [-7.6518, -3.5426, 6.5537], [3.0351, -2.3665, 4.8064]],
  "species": ["Sn", "Sn", "O", "O", "Li", "O", "O", "O", "Li", "Fe", "Fe", "O", "O", "O", "O", "O", "Li", "Li", "Li", "Sn", "O", "O", "Fe", "O", "Li", "Fe", "O", "O", "Li", "Li", "Sn", "O"],
  "fractional_positions": [[0.0000, 0.5000, 0.5000], [0.2500, 0.7500, 0.2499], [0.1166, 0.6212, 0.1427], [0.3834, 0.8788, 0.3572], [0.7500, 0.7500, 0.2500], [0.8737, 0.3688, 0.3904], [0.5968, 0.6289, 0.1322], [0.1452, 0.1131, 0.1157], [0.2500, 0.2500, 0.2500], [0.5000, 0.5000, 0.5000], [0.0000, 0.0000, 0.0000], [0.4031, 0.3711, 0.8679], [0.3548, 0.3870, 0.3844], [0.6166, 0.1212, 0.6428], [0.1263, 0.6312, 0.6096], [0.9032, 0.8711, 0.3678], [0.2500, 0.7500, 0.7500], [0.7500, 0.7500, 0.7500], [0.2500, 0.2500, 0.7500], [0.7500, 0.2500, 0.7500], [0.6452, 0.6130, 0.6157], [0.0968, 0.1289, 0.6322], [0.5000, 0.5000, 0.0000], [0.8834, 0.3788, 0.8573], [0.5000, 0.0000, 0.5000], [0.0000, 0.0000, 0.5000], [0.6263, 0.1312, 0.1096], [0.3737, 0.8688, 0.8904], [0.7500, 0.2500, 0.2500], [0.0000, 0.5000, 0.0000], [0.5000, 0.0000, 0.0000], [0.8548, 0.8869, 0.8843]],
  "ef_ev_per_atom": -2.0186
}

---

{
  "formula": "KFeCo3P3O12",
  "functional": "PBE with a Hubbard U",
  "state": "relaxed",
  "lattice_angstrom": [[-4.1413, 0.5158, -4.6252], [0.7282, -9.6105, -1.7238], [-12.5035, -2.8975, 10.8723]],
  "species": ["Co", "P", "Co", "K", "Co", "O", "O", "O", "Fe", "O", "O", "O", "O", "O", "O", "Fe", "Co", "O", "P", "O", "K", "O", "O", "O", "O", "O", "O", "K", "O", "P", "O", "O", "P", "Co", "Co", "O", "O", "O", "O", "P", "P", "O", "O", "O", "O", "Co", "Co", "O", "O", "O", "O", "Co", "P", "Co", "O", "O", "K", "Co", "O", "O", "O", "O", "P", "O", "P", "O", "O", "P", "O", "O", "O", "O", "O", "Fe", "P", "O", "Fe", "P", "Co", "O"],
  "fractional_positions": [[0.2490, 0.2489, 0.7979], [0.0000, 0.2108, 0.4632], [0.7510, 0.7511, 0.2021], [0.5000, 0.2048, 0.5350], [0.0000, 0.5343, 0.4092], [0.0000, 0.8832, 0.1773], [0.7948, 0.5986, 0.8218], [0.2020, 0.0871, 0.1207], [0.5000, 0.4877, 0.1392], [0.5000, 0.6146, 0.2488], [0.8021, 0.8338, 0.5885], [0.0000, 0.1168, 0.8227], [0.0000, 0.8854, 0.7488], [0.7052, 0.9014, 0.3218], [0.5000, 0.8918, 0.1957], [0.5000, 0.5123, 0.8608], [0.2510, 0.7489, 0.7021], [0.0000, 0.3841, 0.7757], [0.0000, 0.4567, 0.2175], [0.2948, 0.0986, 0.6782], [0.5000, 0.7952, 0.4650], [0.7052, 0.0986, 0.6782], [0.0000, 0.6319, 0.5214], [0.2948, 0.9014, 0.3218], [0.5000, 0.6410, 0.9563], [0.5000, 0.1082, 0.8043], [0.7020, 0.4129, 0.6207], [0.0000, 0.7048, 0.9650], [0.6979, 0.3338, 0.9115], [0.5000, 0.4576, 0.6655], [0.0000, 0.6082, 0.6957], [0.3021, 0.3338, 0.9115], [0.0000, 0.9576, 0.8345], [0.7490, 0.7489, 0.7021], [0.2490, 0.7511, 0.2021], [0.5000, 0.1319, 0.9786], [0.2052, 0.5986, 0.8218], [0.2020, 0.9129, 0.8793], [0.5000, 0.3854, 0.7512], [0.0000, 0.7892, 0.5368], [0.5000, 0.9567, 0.2825], [0.0000, 0.1410, 0.5437], [0.5000, 0.6168, 0.6773], [0.2980, 0.5871, 0.3793], [0.0000, 0.3681, 0.4786], [0.7510, 0.2489, 0.7979], [0.0000, 0.4657, 0.5908], [0.0000, 0.3918, 0.3043], [0.0000, 0.8590, 0.4563], [0.5000, 0.1159, 0.2757], [0.8021, 0.1662, 0.4115], [0.5000, 0.0343, 0.0908], [0.5000, 0.7108, 0.0368], [0.7490, 0.2511, 0.2979], [0.6979, 0.6662, 0.0885], [0.3021, 0.6662, 0.0885], [0.0000, 0.2952, 0.0350], [0.2510, 0.2511, 0.2979], [0.2052, 0.4014, 0.1782], [0.7948, 0.4014, 0.1782], [0.0000, 0.1146, 0.2512], [0.2980, 0.4129, 0.6207], [0.5000, 0.0433, 0.7175], [0.1979, 0.8338, 0.5885], [0.0000, 0.0424, 0.1655], [0.5000, 0.8841, 0.7243], [0.5000, 0.3590, 0.0437], [0.0000, 0.5433, 0.7825], [0.7980, 0.9129, 0.8793], [0.0000, 0.6159, 0.2243], [0.1979, 0.1662, 0.4115], [0.7020, 0.5871, 0.3793], [0.5000, 0.3832, 0.3227], [0.0000, 0.9877, 0.3608], [0.5000, 0.2892, 0.9632], [0.5000, 0.8681, 0.0214], [0.0000, 0.0123, 0.6392], [0.5000, 0.5424, 0.3345], [0.5000, 0.9657, 0.9092], [0.7980, 0.0871, 0.1207]],
  "sg": "Pnnm (58)",
  "ef_ev_per_atom": -2.2556
}

---

Number 1: total DFT energy (no corrections) -0.261 Ha/atom. Number 2: total DFT energy (no corrections) -0.217 Ha/atom. Number 3: total DFT energy (no corrections) -0.250 Ha/atom.